The following is a PBE calculation of a relaxed BaCaNdSbO6 crystal, from Materials Project.

Values from the calculation:
- E_form: -66.9 kcal/mol of atoms
- Raw total energy: -6.7391 eV/atom
- Distance to the lowest polymorph of the same formula: 82 meV per atom

abc: 6.0730 6.0730 6.0730
angles: 60.00 60.00 60.00
Last column: nearest neighbours and their distance in Å.
Atoms (fractional coordinates):
1 Ba 0.0000 0.0000 0.0000  12 O 3.04
2 Ca 0.5000 0.5000 0.5000  12 O 3.04
3 Nd 0.7500 0.7500 0.7500  6 O 2.30
4 Sb 0.2500 0.2500 0.2500  6 O 2.00
5 O 0.0173 0.0173 0.4827  1 Sb 2.00
6 O 0.0173 0.4827 0.0173  1 Sb 2.00
7 O 0.0173 0.4827 0.4827  1 Sb 2.00
8 O 0.4827 0.0173 0.0173  1 Sb 2.00
9 O 0.4827 0.0173 0.4827  1 Sb 2.00
10 O 0.4827 0.4827 0.0173  1 Sb 2.00